The following is a DFT calculation (PBE-GGA) of a relaxed structure of Na6Mg2Ti6Si5S7O48.

Summary:
**Energy**: -1545.229 eV/cell

```
data_Na6Mg2Ti6Si5S7O48
_chemical_formula_sum 'Na18 Mg6 Ti18 Si15 S21 O144'
_symmetry_space_group_name_H-M 'P 1'
_symmetry_Int_Tables_number 1
_cell_length_a 8.797
_cell_length_b 15.113
_cell_length_c 22.468
_cell_angle_alpha 89.96
_cell_angle_beta 89.98
_cell_angle_gamma 89.99
loop_
_symmetry_equiv_pos_as_xyz
'x,y,z'
loop_
_atom_site_label
_atom_site_type_symbol
_atom_site_fract_x
_atom_site_fract_y
_atom_site_fract_z
Na1 Na 0.000 0.000 0.000
Na2 Na 0.000 0.660 0.830
Na3 Na 0.001 0.666 0.330
Na4 Na 0.005 0.995 0.493
Na5 Na 0.007 0.325 0.165
Na6 Na 0.008 0.336 0.665
Na7 Na 0.192 0.173 0.750
Na8 Na 0.309 0.674 0.253
Na9 Na 0.493 0.823 0.662
Na10 Na 0.494 0.834 0.167
Na11 Na 0.498 0.500 0.991
Na12 Na 0.501 0.161 0.334
Na13 Na 0.501 0.165 0.825
Na14 Na 0.502 0.503 0.500
Na15 Na 0.639 0.006 0.750
Na16 Na 0.671 0.311 0.752
Na17 Na 0.832 0.811 0.255
Na18 Na 0.865 0.506 0.253
Mg1 Mg 0.002 0.000 0.850
Mg2 Mg 0.004 0.664 0.187
Mg3 Mg 0.006 0.995 0.359
Mg4 Mg 0.496 0.496 0.858
Mg5 Mg 0.499 0.164 0.687
Mg6 Mg 0.500 0.500 0.352
Ti1 Ti 0.001 0.663 0.677
Ti2 Ti 0.004 0.326 0.315
Ti3 Ti 0.012 0.339 0.808
Ti4 Ti 0.019 0.998 0.143
Ti5 Ti 0.023 0.998 0.650
Ti6 Ti 0.483 0.498 0.642
Ti7 Ti 0.487 0.502 0.153
Ti8 Ti 0.489 0.828 0.523
Ti9 Ti 0.490 0.836 0.313
Ti10 Ti 0.502 0.823 0.811
Ti11 Ti 0.502 0.827 0.020
Ti12 Ti 0.508 0.158 0.983
Ti13 Ti 0.509 0.158 0.181
Ti14 Ti 0.511 0.156 0.474
Ti15 Ti 0.993 0.658 0.973
Ti16 Ti 0.997 0.666 0.486
Ti17 Ti 0.999 0.328 0.520
Ti18 Ti 0.999 0.329 0.018
Si1 Si 0.140 0.517 0.580
Si2 Si 0.141 0.813 0.583
Si3 Si 0.143 0.856 0.252
Si4 Si 0.150 0.472 0.918
Si5 Si 0.207 0.492 0.254
Si6 Si 0.295 0.993 0.754
Si7 Si 0.353 0.972 0.419
Si8 Si 0.360 0.015 0.081
Si9 Si 0.363 0.357 0.752
Si10 Si 0.644 0.684 0.917
Si11 Si 0.649 0.644 0.254
Si12 Si 0.709 0.663 0.583
Si13 Si 0.797 0.164 0.083
Si14 Si 0.856 0.142 0.752
Si15 Si 0.858 0.184 0.417
S1 S 0.149 0.185 0.917
S2 S 0.150 0.142 0.250
S3 S 0.212 0.164 0.581
S4 S 0.213 0.830 0.918
S5 S 0.290 0.331 0.418
S6 S 0.292 0.662 0.082
S7 S 0.352 0.640 0.751
S8 S 0.354 0.685 0.417
S9 S 0.359 0.308 0.082
S10 S 0.642 0.349 0.250
S11 S 0.645 0.974 0.917
S12 S 0.646 0.309 0.582
S13 S 0.649 0.018 0.583
S14 S 0.712 0.326 0.916
S15 S 0.714 0.001 0.250
S16 S 0.787 0.826 0.416
S17 S 0.789 0.502 0.751
S18 S 0.853 0.517 0.082
S19 S 0.856 0.808 0.082
S20 S 0.857 0.475 0.416
S21 S 0.860 0.848 0.751
O1 O 0.051 0.898 0.305
O2 O 0.060 0.909 0.591
O3 O 0.063 0.570 0.927
O4 O 0.064 0.426 0.860
O5 O 0.067 0.418 0.573
O6 O 0.067 0.763 0.525
O7 O 0.068 0.562 0.640
O8 O 0.077 0.232 0.255
O9 O 0.078 0.097 0.917
O10 O 0.080 0.104 0.194
O11 O 0.084 0.231 0.971
O12 O 0.088 0.757 0.240
O13 O 0.095 0.403 0.258
O14 O 0.095 0.412 0.976
O15 O 0.099 0.575 0.240
O16 O 0.111 0.244 0.575
O17 O 0.112 0.919 0.191
O18 O 0.113 0.084 0.585
O19 O 0.113 0.580 0.523
O20 O 0.113 0.908 0.914
O21 O 0.114 0.748 0.641
O22 O 0.116 0.237 0.862
O23 O 0.122 0.748 0.924
O24 O 0.125 0.090 0.302
O25 O 0.172 0.349 0.757
O26 O 0.176 0.010 0.088
O27 O 0.176 0.983 0.416
O28 O 0.186 0.653 0.744
O29 O 0.186 0.679 0.420
O30 O 0.188 0.974 0.693
O31 O 0.191 0.316 0.077
O32 O 0.192 0.013 0.810
O33 O 0.192 0.319 0.364
O34 O 0.193 0.343 0.472
O35 O 0.193 0.653 0.029
O36 O 0.207 0.674 0.137
O37 O 0.297 0.176 0.637
O38 O 0.310 0.818 0.864
O39 O 0.311 0.155 0.529
O40 O 0.311 0.842 0.972
O41 O 0.313 0.511 0.309
O42 O 0.317 0.156 0.241
O43 O 0.317 0.181 0.923
O44 O 0.319 0.475 0.192
O45 O 0.326 0.508 0.588
O46 O 0.326 0.820 0.576
O47 O 0.327 0.482 0.917
O48 O 0.332 0.848 0.258
O49 O 0.380 0.248 0.423
O50 O 0.383 0.590 0.804
O51 O 0.387 0.254 0.137
O52 O 0.389 0.408 0.413
O53 O 0.389 0.737 0.362
O54 O 0.391 0.581 0.085
O55 O 0.392 0.080 0.024
O56 O 0.393 0.419 0.692
O57 O 0.393 0.742 0.075
O58 O 0.405 0.075 0.741
O59 O 0.407 0.904 0.760
O60 O 0.408 0.912 0.475
O61 O 0.415 0.256 0.740
O62 O 0.416 0.730 0.471
O63 O 0.420 0.604 0.695
O64 O 0.423 0.265 0.029
O65 O 0.424 0.732 0.756
O66 O 0.426 0.597 0.415
O67 O 0.432 0.396 0.088
O68 O 0.433 0.066 0.139
O69 O 0.436 0.919 0.075
O70 O 0.436 0.927 0.360
O71 O 0.441 0.071 0.426
O72 O 0.451 0.396 0.807
O73 O 0.557 0.594 0.194
O74 O 0.564 0.741 0.258
O75 O 0.572 0.064 0.922
O76 O 0.574 0.741 0.974
O77 O 0.575 0.260 0.241
O78 O 0.579 0.266 0.530
O79 O 0.579 0.588 0.914
O80 O 0.580 0.057 0.637
O81 O 0.580 0.386 0.305
O82 O 0.580 0.399 0.587
O83 O 0.581 0.929 0.575
O84 O 0.581 0.936 0.861
O85 O 0.602 0.921 0.970
O86 O 0.605 0.079 0.242
O87 O 0.605 0.576 0.594
O88 O 0.605 0.751 0.574
O89 O 0.610 0.749 0.859
O90 O 0.612 0.076 0.529
O91 O 0.612 0.247 0.924
O92 O 0.617 0.406 0.196
O93 O 0.618 0.918 0.253
O94 O 0.624 0.407 0.916
O95 O 0.625 0.258 0.637
O96 O 0.634 0.576 0.307
O97 O 0.670 0.185 0.426
O98 O 0.679 0.151 0.026
O99 O 0.679 0.160 0.739
O100 O 0.681 0.180 0.141
O101 O 0.686 0.507 0.086
O102 O 0.686 0.831 0.469
O103 O 0.686 0.843 0.755
O104 O 0.687 0.820 0.075
O105 O 0.691 0.478 0.414
O106 O 0.696 0.487 0.697
O107 O 0.696 0.815 0.360
O108 O 0.704 0.514 0.805
O109 O 0.797 0.017 0.304
O110 O 0.801 0.312 0.861
O111 O 0.807 0.988 0.196
O112 O 0.811 0.981 0.915
O113 O 0.814 0.012 0.586
O114 O 0.814 0.342 0.253
O115 O 0.815 0.331 0.970
O116 O 0.816 0.320 0.575
O117 O 0.819 0.646 0.525
O118 O 0.820 0.679 0.641
O119 O 0.825 0.659 0.239
O120 O 0.832 0.684 0.926
O121 O 0.868 0.078 0.808
O122 O 0.878 0.757 0.137
O123 O 0.879 0.906 0.414
O124 O 0.883 0.416 0.755
O125 O 0.883 0.905 0.698
O126 O 0.885 0.745 0.420
O127 O 0.887 0.574 0.029
O128 O 0.892 0.249 0.359
O129 O 0.895 0.075 0.092
O130 O 0.898 0.577 0.744
O131 O 0.899 0.420 0.469
O132 O 0.902 0.251 0.075
O133 O 0.919 0.555 0.136
O134 O 0.919 0.886 0.806
O135 O 0.921 0.432 0.360
O136 O 0.922 0.758 0.744
O137 O 0.923 0.428 0.075
O138 O 0.923 0.899 0.087
O139 O 0.924 0.088 0.413
O140 O 0.924 0.765 0.030
O141 O 0.929 0.241 0.474
O142 O 0.929 0.562 0.419
O143 O 0.940 0.241 0.759
O144 O 0.946 0.093 0.693
```

The following is a DFT calculation (PBE-GGA) of a relaxed structure of Na6MgTi3Si4S2O24.

Summary:
**Energy**: -830.408 eV/cell

```
data_Na6MgTi3Si4S2O24
_chemical_formula_sum 'Na18 Mg3 Ti9 Si12 S6 O72'
_symmetry_space_group_name_H-M 'P 1'
_symmetry_Int_Tables_number 1
_cell_length_a 8.937
_cell_length_b 8.939
_cell_length_c 22.174
_cell_angle_alpha 89.61
_cell_angle_beta 89.62
_cell_angle_gamma 60.15
loop_
_symmetry_equiv_pos_as_xyz
'x,y,z'
loop_
_atom_site_label
_atom_site_type_symbol
_atom_site_fract_x
_atom_site_fract_y
_atom_site_fract_z
Na1 Na 0.000 0.000 0.000
Na2 Na 0.000 0.632 0.247
Na3 Na 0.012 0.254 0.491
Na4 Na 0.018 0.302 0.164
Na5 Na 0.019 0.943 0.663
Na6 Na 0.304 0.290 0.656
Na7 Na 0.309 0.649 0.164
Na8 Na 0.334 0.969 0.571
Na9 Na 0.341 0.596 0.831
Na10 Na 0.342 0.966 0.073
Na11 Na 0.374 0.635 0.490
Na12 Na 0.623 0.997 0.490
Na13 Na 0.667 0.298 0.403
Na14 Na 0.669 0.300 0.912
Na15 Na 0.680 0.654 0.666
Na16 Na 0.680 0.935 0.164
Na17 Na 0.949 0.337 0.826
Na18 Na 0.975 0.652 0.747
Mg1 Mg 0.335 0.964 0.430
Mg2 Mg 0.671 0.294 0.259
Mg3 Mg 0.689 0.283 0.765
Ti1 Ti 0.004 0.627 0.396
Ti2 Ti 0.019 0.613 0.098
Ti3 Ti 0.326 0.949 0.933
Ti4 Ti 0.332 0.964 0.219
Ti5 Ti 0.340 0.958 0.726
Ti6 Ti 0.663 0.317 0.060
Ti7 Ti 0.686 0.273 0.554
Ti8 Ti 0.989 0.630 0.593
Ti9 Ti 0.996 0.631 0.893
Si1 Si 0.004 0.336 0.993
Si2 Si 0.005 0.913 0.495
Si3 Si 0.041 0.959 0.828
Si4 Si 0.295 0.343 0.495
Si5 Si 0.298 0.616 0.993
Si6 Si 0.386 0.296 0.162
Si7 Si 0.627 0.676 0.829
Si8 Si 0.670 0.003 0.662
Si9 Si 0.673 0.588 0.164
Si10 Si 0.711 0.625 0.493
Si11 Si 0.954 0.005 0.160
Si12 Si 0.962 0.297 0.662
S1 S 0.044 0.257 0.328
S2 S 0.334 0.671 0.328
S3 S 0.336 0.250 0.828
S4 S 0.379 0.586 0.662
S5 S 0.630 0.960 0.328
S6 S 0.709 0.919 0.994
O1 O 0.023 0.436 0.052
O2 O 0.031 0.798 0.555
O3 O 0.033 0.429 0.329
O4 O 0.041 0.776 0.832
O5 O 0.130 0.157 0.383
O6 O 0.145 0.979 0.887
O7 O 0.150 0.166 0.273
O8 O 0.152 0.984 0.171
O9 O 0.154 0.120 0.667
O10 O 0.169 0.940 0.489
O11 O 0.171 0.657 0.052
O12 O 0.171 0.659 0.330
O13 O 0.172 0.934 0.769
O14 O 0.173 0.422 0.829
O15 O 0.173 0.436 0.555
O16 O 0.178 0.144 0.987
O17 O 0.186 0.456 0.151
O18 O 0.194 0.606 0.933
O19 O 0.197 0.474 0.437
O20 O 0.202 0.611 0.658
O21 O 0.310 0.796 0.988
O22 O 0.312 0.168 0.771
O23 O 0.314 0.155 0.489
O24 O 0.318 0.778 0.273
O25 O 0.346 0.757 0.383
O26 O 0.355 0.146 0.881
O27 O 0.359 0.123 0.170
O28 O 0.362 0.763 0.665
O29 O 0.451 0.352 0.219
O30 O 0.456 0.485 0.717
O31 O 0.482 0.280 0.821
O32 O 0.482 0.333 0.501
O33 O 0.484 0.506 0.607
O34 O 0.487 0.447 0.999
O35 O 0.488 0.498 0.325
O36 O 0.495 0.982 0.666
O37 O 0.496 0.781 0.171
O38 O 0.498 0.788 0.884
O39 O 0.515 0.253 0.103
O40 O 0.525 0.794 0.488
O41 O 0.530 0.973 0.383
O42 O 0.534 0.795 0.767
O43 O 0.536 0.939 0.987
O44 O 0.539 0.945 0.273
O45 O 0.625 0.504 0.105
O46 O 0.632 0.493 0.826
O47 O 0.636 0.124 0.600
O48 O 0.648 0.115 0.324
O49 O 0.699 0.449 0.501
O50 O 0.702 0.087 0.995
O51 O 0.707 0.092 0.717
O52 O 0.727 0.460 0.219
O53 O 0.787 0.818 0.049
O54 O 0.801 0.656 0.553
O55 O 0.803 0.799 0.330
O56 O 0.822 0.650 0.834
O57 O 0.824 0.827 0.940
O58 O 0.826 0.103 0.498
O59 O 0.831 0.626 0.149
O60 O 0.832 0.079 0.217
O61 O 0.836 0.310 0.998
O62 O 0.841 0.807 0.654
O63 O 0.842 0.349 0.721
O64 O 0.847 0.587 0.437
O65 O 0.861 0.134 0.828
O66 O 0.867 0.263 0.603
O67 O 0.871 0.274 0.325
O68 O 0.878 0.130 0.100
O69 O 0.964 0.821 0.438
O70 O 0.980 0.458 0.934
O71 O 0.991 0.808 0.149
O72 O 0.995 0.463 0.653
```

Total magnetization in μB/cell, matching the order above: 0.00; 0.00
Mass density in kg/m3, matching the order above: 2679; 2809